VASP calculation (PBE) on crystalline CuAs12P4S12Cl at its relaxed geometry.

```
data_CuAs12P4S12Cl
_chemical_formula_sum 'Cu4 As48 P16 S48 Cl4'
_cell_length_a 13.7983
_cell_length_b 13.7983
_cell_length_c 21.9325
_cell_angle_alpha 90.00
_cell_angle_beta 90.00
_cell_angle_gamma 120.00
_space_group_name_H-M_alt 'P 3 1 c'
_space_group_IT_number 159
loop_
_space_group_symop_operation_xyz
'x,y,z'
'-y,x-y,z'
'-x+y,-x,z'
'y,x,z+1/2'
'x-y,-y,z+1/2'
'-x,-x+y,z+1/2'
loop_
_atom_site_label
_atom_site_type_symbol
_atom_site_fract_x
_atom_site_fract_y
_atom_site_fract_z
_atom_site_occupancy
Cu1 Cu 0.0000 0.0000 0.0000 1
Cu2 Cu 0.3333 0.6667 0.2549 1
As1 As 0.0130 0.1113 0.7533 1
As2 As 0.0628 0.4824 0.8866 1
As3 As 0.0959 0.6572 0.8321 1
As4 As 0.1133 0.4285 0.5825 1
As5 As 0.1291 0.5157 0.7771 1
As6 As 0.1385 0.7370 0.6318 1
As7 As 0.1834 0.7141 0.5230 1
As8 As 0.2505 0.7028 0.0093 1
P1 P 0.0000 0.0000 0.3941 1
P2 P 0.0851 0.8981 0.5323 1
P3 P 0.1501 0.5794 0.2877 1
P4 P 0.3333 0.6667 0.1499 1
S1 S 0.0046 0.2568 0.0490 1
S2 S 0.0180 0.1461 0.8540 1
S3 S 0.0251 0.8097 0.6147 1
S4 S 0.0375 0.4514 0.2294 1
S5 S 0.0790 0.6824 0.2987 1
S6 S 0.0820 0.7771 0.4726 1
S7 S 0.1242 0.4996 0.3725 1
S8 S 0.2239 0.7129 0.1105 1
Cl1 Cl 0.3333 0.6667 0.6230 1
Cl2 Cl 0.3333 0.6667 0.8739 1
```



VASP calculation (PBE) on crystalline AsClF8 at its relaxed geometry.

```
data_AsClF8
_chemical_formula_sum 'As4 Cl4 F32'
_cell_length_a 8.357
_cell_length_b 7.904
_cell_length_c 10.492
_cell_angle_alpha 90.00
_cell_angle_beta 111.38
_cell_angle_gamma 90.00
_space_group_name_H-M_alt 'C 1 2/c 1'
_space_group_IT_number 15
loop_
_space_group_symop_operation_xyz
'x,y,z'
'-x,-y,-z'
'-x,y,-z+1/2'
'x,-y,z+1/2'
'x+1/2,y+1/2,z'
'-x+1/2,-y+1/2,-z'
'-x+1/2,y+1/2,-z+1/2'
'x+1/2,-y+1/2,z+1/2'
loop_
_atom_site_label
_atom_site_type_symbol
_atom_site_fract_x
_atom_site_fract_y
_atom_site_fract_z
_atom_site_occupancy
As1 As 0.000 0.000 0.000 1
Cl1 Cl 0.000 0.334 0.250 1
F1 F 0.059 0.175 0.610 1
F2 F 0.067 0.471 0.167 1
F3 F 0.103 0.140 0.147 1
F4 F 0.196 0.015 0.475 1
```



VASP calculation (PBE) on crystalline AsSeS2N2ClF6 at its relaxed geometry.

```
data_AsSeS2N2ClF6
_chemical_formula_sum 'As8 Se8 S16 N16 Cl8 F48'
_cell_length_a 9.546
_cell_length_b 19.991
_cell_length_c 12.496
_cell_angle_alpha 90.00
_cell_angle_beta 122.40
_cell_angle_gamma 90.00
_space_group_name_H-M_alt 'P 1 21/c 1'
_space_group_IT_number 14
loop_
_space_group_symop_operation_xyz
'x,y,z'
'-x,-y,-z'
'-x,y+1/2,-z+1/2'
'x,-y+1/2,z+1/2'
loop_
_atom_site_label
_atom_site_type_symbol
_atom_site_fract_x
_atom_site_fract_y
_atom_site_fract_z
_atom_site_occupancy
As1 As 0.000 0.035 0.248 1
As2 As 0.470 0.708 0.900 1
Se1 Se 0.107 0.722 0.469 1
Se2 Se 0.359 0.515 0.676 1
S1 S 0.062 0.150 0.601 1
S2 S 0.111 0.236 0.243 1
S3 S 0.416 0.007 0.613 1
S4 S 0.432 0.603 0.254 1
N1 N 0.087 0.694 0.004 1
N2 N 0.159 0.190 0.728 1
N3 N 0.346 0.562 0.128 1
N4 N 0.402 0.065 0.143 1
Cl1 Cl 0.022 0.160 0.959 1
Cl2 Cl 0.463 0.587 0.598 1
F1 F 0.054 0.058 0.403 1
F2 F 0.054 0.514 0.408 1
F3 F 0.093 0.616 0.308 1
F4 F 0.098 0.544 0.804 1
F5 F 0.190 0.502 0.284 1
F6 F 0.192 0.069 0.279 1
F7 F 0.262 0.732 0.842 1
F8 F 0.323 0.182 0.543 1
F9 F 0.398 0.625 0.838 1
F10 F 0.443 0.732 0.753 1
F11 F 0.459 0.211 0.039 1
F12 F 0.492 0.683 0.044 1
```



Calculated values (meV/atom) of E_form for the records, taken in order: -418 -1855 -1259.
Calculated values (eV per atom) of energy for the records, taken in order: -4.6342 -3.6676 -4.6181.